A relaxed structure of Ti2NbP3O12, computed with PBE.

Lattice parameters (Å, degrees): 8.7202 8.7202 21.2099 90.00 90.00 120.00
Space group R-3c (No. 167, hexagonal axes)
Symmetry-distinct sites (fractional):
Ti 0.0000 0.0000 0.1436 (multiplicity 12)
Nb 0.0000 0.0000 0.0000 (multiplicity 6)
P 0.0000 0.2904 0.2500 (multiplicity 18)
O 0.9995 0.1928 0.1901 (multiplicity 36)
O 0.0200 0.1861 0.9212 (multiplicity 36)

Calculated formation energy in eV per atom: -2.83